MnAlO3 (GGA+U, relaxed); V = 97.5 Å³/cell; formation energy from the elements = -2.6739 eV per atom; total energy = -7.478 eV per atom; space-group type = P-1
1.0
0.0445 2.8326 -3.9445
-5.2436 -0.0926 -0.0048
-2.2504 1.7470 4.0749
O Al Mn
6 2 2
direct
0.9179 0.2808 0.1504
0.5528 0.2554 0.5033
0.7850 0.7395 0.2341
0.2150 0.2605 0.7659
0.4472 0.7446 0.4967
0.0821 0.7192 0.8496
0.1486 0.5452 0.2996
0.8514 0.4548 0.7004
0.3551 0.9416 0.7147
0.6449 0.0584 0.2853



Li3MnCo2O6 (GGA+U, relaxed); V = 111.5 Å³/cell; formation energy from the elements = -1.8216 eV per atom; total energy = -5.965 eV per atom; space-group type = C2/m
1.0
-1.9867 0.7718 2.1079
-1.5946 -2.0490 1.4984
10.0765 -0.8800 10.5565
Li O Mn Co
3 6 1 2
direct
0.1704 0.1704 0.1686
0.8296 0.8296 0.8314
0.5000 0.5000 0.5000
0.1377 0.1377 0.9212
0.8349 0.8349 0.5904
0.4988 0.4988 0.7409
0.8623 0.8623 0.0788
0.5012 0.5012 0.2591
0.1651 0.1651 0.4096
0.5000 0.5000 0.0000
0.1671 0.1671 0.6657
0.8329 0.8329 0.3343



Li9Mn2Co5O16 (GGA+U, relaxed); V = 282.8 Å³/cell; formation energy from the elements = -1.8491 eV per atom; total energy = -5.840 eV per atom; space-group type = P1
1.0
-2.1446 0.8429 -5.3193
-6.1890 -2.1571 0.5733
-2.9155 7.0807 0.9082
O Li Co Mn
16 9 5 2
direct
0.2042 0.9586 0.1805
0.7309 0.9603 0.1801
0.7936 0.0458 0.8203
0.8546 0.2006 0.4158
0.3577 0.1940 0.4129
0.6492 0.8068 0.5674
0.5860 0.6830 0.9234
0.0827 0.7115 0.9418
0.9080 0.2926 0.0752
0.2586 0.0568 0.8249
0.0477 0.5366 0.3202
0.1592 0.8000 0.5719
0.5479 0.5412 0.3159
0.4635 0.4378 0.6746
0.4057 0.3070 0.0834
0.9598 0.4538 0.6797
0.8063 0.6338 0.1201
0.9421 0.8789 0.3755
0.6787 0.3731 0.8701
0.4938 0.0009 0.0020
0.5548 0.1193 0.6349
0.3168 0.6257 0.1234
0.0565 0.1199 0.6283
0.4341 0.8774 0.3708
0.1970 0.3681 0.8779
0.1324 0.2474 0.2472
0.2535 0.5020 0.5036
0.7569 0.5018 0.4998
0.3756 0.7578 0.7565
0.8606 0.7616 0.7538
0.0041 0.9998 0.0023
0.6274 0.2460 0.2457



Li2CrNiO4 (GGA+U, relaxed); V = 142.2 Å³/cell; formation energy from the elements = -1.9157 eV per atom; total energy = -5.885 eV per atom; space-group type = P1
1.0
-1.5023 2.4024 2.8336
-0.6176 -7.1851 2.9308
5.1878 -0.1335 0.0300
Li Ni O Cr
4 2 8 2
direct
0.6348 0.8625 0.4069
0.2477 0.7535 0.7418
0.1173 0.3861 0.8485
0.7433 0.2562 0.2305
0.0005 0.9967 0.0045
0.5009 0.5005 0.5013
0.2627 0.2308 0.2953
0.3836 0.6146 0.1526
0.1234 0.8820 0.3647
0.9883 0.5062 0.4705
0.4880 0.0173 0.9594
0.6147 0.3794 0.8500
0.8820 0.1191 0.6457
0.7637 0.7428 0.7846
0.3729 0.1253 0.6185
0.8763 0.6271 0.1254



Li2V2SiGeO10 (GGA+U, relaxed); V = 191.9 Å³/cell; formation energy from the elements = -2.4580 eV per atom; total energy = -6.911 eV per atom; largest piezoelectric modulus = 0.217 C/m²; space-group type = C222
1.0
-0.3567 6.3064 -1.1057
-1.1309 -1.2078 -6.1953
-4.5859 -0.1089 0.8583
V O Li Si Ge
2 10 2 1 1
direct
0.0000 0.5000 0.3911
0.5000 0.0000 0.6089
0.7191 0.4928 0.2705
0.4928 0.7191 0.7295
0.0000 0.5000 0.7410
0.5000 0.0000 0.2590
0.2809 0.5072 0.2705
0.0050 0.7911 0.2943
0.2089 0.9950 0.7057
0.9950 0.2089 0.2943
0.5072 0.2809 0.7295
0.7911 0.0050 0.7057
0.2399 0.7601 0.0000
0.7601 0.2399 0.0000
0.0000 0.0000 0.5000
0.5000 0.5000 0.5000



Sr2MnNbO6 (GGA+U, relaxed); V = 524.5 Å³/cell; formation energy from the elements = -2.9897 eV per atom; total energy = -7.644 eV per atom; space-group type = P2_1/m
1.0
-2.1751 4.2076 3.2931
-4.4308 2.4839 -6.1001
-8.4650 -6.9674 3.3116
Mn O Nb Sr
4 24 4 8
direct
0.9934 0.9999 0.5001
0.0063 0.0000 0.0001
0.4937 0.5000 0.2498
0.5065 0.5000 0.7499
0.2917 0.5000 0.8804
0.7856 0.5001 0.1239
0.9823 0.7531 0.4994
0.2190 0.0000 0.1308
0.0176 0.7531 0.9992
0.7146 0.0000 0.1261
0.6985 0.0000 0.3812
0.2089 0.0000 0.3699
0.0175 0.2469 0.9992
0.7123 0.5000 0.6163
0.7855 0.0000 0.8724
0.4824 0.2531 0.2507
0.2811 0.5000 0.1192
0.8019 0.5000 0.8686
0.5176 0.7468 0.7506
0.4824 0.7469 0.2507
0.2908 0.0000 0.6233
0.7147 0.5000 0.3774
0.9823 0.2469 0.4994
0.2046 0.5000 0.3720
0.2958 0.0000 0.8783
0.5177 0.2531 0.7506
0.7869 0.0000 0.6334
0.2082 0.5000 0.6271
0.4840 0.0000 0.2504
0.0161 0.5000 0.9996
0.9836 0.5000 0.5003
0.5163 0.0000 0.7498
0.5045 0.2500 0.9993
0.0053 0.7511 0.7511
0.9956 0.2500 0.2507
0.4946 0.7490 0.4989
0.9956 0.7500 0.2506
0.4946 0.2510 0.4989
0.5045 0.7500 0.9993
0.0053 0.2489 0.7511



Fe2O3 (GGA+U, relaxed); V = 1022.3 Å³/cell; formation energy from the elements = -1.4184 eV per atom; total energy = -6.461 eV per atom; space-group type = P1
1.0
9.2266 0.1568 -0.7213
0.2041 10.2737 0.3361
-0.7165 0.3025 10.8550
O Fe
48 32
direct
0.0199 0.2259 0.8625
0.2193 0.4240 0.7791
0.8354 0.7854 0.0811
0.2209 0.9892 0.1374
0.9133 0.3356 0.3398
0.0985 0.7345 0.6921
0.8764 0.8956 0.4477
0.4785 0.1082 0.6922
0.1324 0.7267 0.0019
0.6220 0.1983 0.9438
0.3747 0.8799 0.8411
0.2848 0.6057 0.5639
0.5354 0.6617 0.7022
0.1614 0.1120 0.4018
0.8244 0.3580 0.0265
0.6468 0.8995 0.8390
0.7755 0.1535 0.7581
0.1533 0.2810 0.0908
0.2400 0.8893 0.5272
0.9811 0.5441 0.1267
0.0089 0.5965 0.3948
0.3694 0.5188 0.2056
0.5909 0.8649 0.5450
0.7381 0.6051 0.2965
0.4380 0.1558 0.2411
0.4552 0.7448 0.1241
0.0107 0.4086 0.5760
0.5124 0.3921 0.7630
0.5451 0.6415 0.4461
0.7533 0.1121 0.2291
0.8332 0.6309 0.5608
0.3539 0.6343 0.8869
0.1885 0.3693 0.3088
0.6441 0.8834 0.2873
0.0365 0.8399 0.2477
0.6736 0.1169 0.5220
0.6955 0.4004 0.5580
0.4882 0.3552 0.0801
0.0996 0.9663 0.9032
0.8665 0.5008 0.7982
0.1033 0.0618 0.6456
0.8814 0.9180 0.6974
0.6508 0.5807 0.9479
0.8960 0.0404 0.0419
0.3610 0.8425 0.3375
0.2774 0.2641 0.5774
0.3298 0.1566 0.8940
0.5465 0.9945 0.0636
0.6778 0.9711 0.6732
0.7540 0.9436 0.1360
0.1096 0.2927 0.4451
0.8394 0.4738 0.4350
0.7243 0.0323 0.3848
0.5388 0.7436 0.8654
0.5246 0.6251 0.2701
0.2814 0.0716 0.5689
0.8547 0.5434 0.9714
0.3464 0.2718 0.7511
0.0756 0.5999 0.5655
0.4959 0.0302 0.8766
0.0358 0.8821 0.0645
0.7163 0.7631 0.4462
0.9230 0.6774 0.2347
0.6300 0.2433 0.6312
0.3098 0.6279 0.0583
0.9751 0.0653 0.7664
0.0315 0.8931 0.5854
0.6974 0.5507 0.6573
0.5962 0.3944 0.9506
0.3316 0.3239 0.2010
0.1799 0.1293 0.9962
0.4084 0.7583 0.5143
0.0057 0.3621 0.1872
0.5727 0.1781 0.1246
0.1919 0.8009 0.8466
0.4315 0.9199 0.1926
0.1820 0.9474 0.3266
0.0187 0.3852 0.7562
0.3658 0.5496 0.7303
0.8299 0.1940 0.9401



ZnCrO4 (GGA+U, relaxed); V = 309.5 Å³/cell; formation energy from the elements = -1.6757 eV per atom; total energy = -6.002 eV per atom; space-group type = C2/m
1.0
-0.0311 -4.9518 4.7211
4.7838 -3.7550 -3.1345
5.5307 1.7208 3.6521
O Cr Zn
16 4 4
direct
0.7843 0.4890 0.4766
0.8570 0.8570 0.5463
0.4899 0.7793 0.8955
0.7978 0.1135 0.8160
0.1430 0.1430 0.4537
0.4890 0.7843 0.4766
0.7969 0.7969 0.1707
0.2031 0.2031 0.8293
0.2157 0.5110 0.5234
0.2022 0.8865 0.1840
0.1135 0.7978 0.8160
0.8865 0.2022 0.1840
0.5101 0.2207 0.1045
0.7793 0.4899 0.8955
0.5110 0.2157 0.5234
0.2207 0.5101 0.1045
0.2732 0.2732 0.5847
0.2572 0.7428 0.0000
0.7268 0.7268 0.4153
0.7428 0.2572 0.0000
0.1822 0.8178 0.5000
0.8178 0.1822 0.5000
0.7968 0.7968 0.8745
0.2032 0.2032 0.1255